(one)
YMg14Fe | PBE | relaxed

Unit cell a=6.396 b=6.396 c=10.210 alpha=90.00 beta=90.00 gamma=120.00
Element x y z (fractional)
Mg: 0.329 0.658 0.861
Mg: 0.669 0.831 0.625
Mg: 0.329 0.171 0.861
Mg: 0.669 0.338 0.625
Mg: 0.329 0.171 0.389
Mg: 0.833 0.667 0.368
Mg: 0.833 0.667 0.882
Mg: 0.162 0.831 0.625
Y: 0.167 0.333 0.125
Mg: 0.661 0.322 0.125
Mg: 0.329 0.658 0.389
Mg: 0.842 0.171 0.389
Fe: 0.167 0.333 0.625
Mg: 0.842 0.171 0.861
Mg: 0.661 0.839 0.125
Mg: 0.178 0.839 0.125

symmetry: P-6m2 (187)
crystal system: hexagonal

---

(two)
YMg14Fe | PBE | relaxed

Unit cell a=6.431 b=6.144 c=10.216 alpha=90.00 beta=90.00 gamma=118.53
Element x y z (fractional)
Mg: 0.337 0.162 0.878
Mg: 0.636 0.308 0.125
Mg: 0.663 0.336 0.625
Mg: 0.170 0.335 0.625
Mg: 0.865 0.683 0.346
Mg: 0.636 0.828 0.125
Mg: 0.663 0.827 0.625
Mg: 0.865 0.683 0.904
Y: 0.142 0.321 0.125
Mg: 0.337 0.675 0.878
Mg: 0.337 0.675 0.372
Mg: 0.837 0.169 0.387
Mg: 0.161 0.830 0.625
Fe: 0.176 0.838 0.125
Mg: 0.837 0.169 0.863
Mg: 0.337 0.162 0.372

symmetry: Amm2 (38)
crystal system: orthorhombic

---

Most favorable structure: (one). The second most favorable one is 0.7 kJ/mol of atoms above it.

---

(one)
Mg6ZrFe | PBE | relaxed

Unit cell a=4.932 b=5.794 c=11.229 alpha=90.00 beta=90.00 gamma=90.00
Element x y z (fractional)
Mg: 0.500 0.251 0.926
Mg: 0.000 0.256 0.083
Fe: 0.500 0.000 0.668
Mg: 0.000 0.756 0.583
Zr: 0.500 0.000 0.178
Mg: 0.000 0.744 0.083
Mg: 0.000 0.500 0.829
Zr: 0.500 0.500 0.678
Mg: 0.500 0.749 0.926
Mg: 0.500 0.751 0.426
Mg: 0.000 0.500 0.307
Mg: 0.000 0.000 0.807
Mg: 0.000 0.244 0.583
Mg: 0.000 0.000 0.329
Fe: 0.500 0.500 0.168
Mg: 0.500 0.249 0.426

---

(two)
Mg6ZrFe | PBE | relaxed

Unit cell a=4.870 b=6.142 c=11.149 alpha=90.00 beta=90.00 gamma=90.00
Element x y z (fractional)
Mg: 0.500 0.744 0.421
Mg: 0.500 0.256 0.421
Mg: 0.500 0.000 0.173
Fe: 0.500 0.500 0.191
Mg: 0.000 0.242 0.575
Fe: 0.500 0.000 0.691
Mg: 0.000 0.500 0.833
Mg: 0.000 0.742 0.075
Mg: 0.000 0.258 0.075
Mg: 0.500 0.500 0.673
Mg: 0.000 0.758 0.575
Zr: 0.000 0.500 0.311
Mg: 0.500 0.244 0.921
Zr: 0.000 0.000 0.811
Mg: 0.000 0.000 0.333
Mg: 0.500 0.756 0.921

---

Most favorable structure: (two). The second most favorable one is 4.4 kJ/mol of atoms above it.

---

(one)
Mg14ZrFe | PBE | relaxed

Unit cell a=6.272 b=6.272 c=10.024 alpha=90.00 beta=90.00 gamma=120.00
Element x y z (fractional)
Mg: 0.850 0.175 0.389
Mg: 0.833 0.667 0.365
Mg: 0.850 0.175 0.861
Mg: 0.833 0.667 0.885
Mg: 0.661 0.323 0.125
Mg: 0.162 0.831 0.625
Mg: 0.325 0.175 0.861
Mg: 0.669 0.338 0.625
Mg: 0.177 0.839 0.125
Fe: 0.167 0.333 0.625
Mg: 0.325 0.650 0.861
Mg: 0.325 0.175 0.389
Mg: 0.325 0.650 0.389
Mg: 0.661 0.839 0.125
Zr: 0.167 0.333 0.125
Mg: 0.669 0.831 0.625

symmetry: P-6m2 (187)
crystal system: hexagonal

---

(two)
Mg14ZrFe | PBE | relaxed

Unit cell a=6.364 b=6.172 c=10.073 alpha=90.00 beta=90.00 gamma=119.01
Element x y z (fractional)
Mg: 0.332 0.669 0.366
Mg: 0.654 0.320 0.125
Mg: 0.332 0.162 0.366
Zr: 0.151 0.326 0.125
Mg: 0.332 0.669 0.884
Mg: 0.332 0.162 0.884
Mg: 0.852 0.676 0.358
Mg: 0.168 0.334 0.625
Mg: 0.840 0.170 0.378
Mg: 0.664 0.334 0.625
Mg: 0.654 0.835 0.125
Mg: 0.164 0.832 0.625
Mg: 0.852 0.676 0.892
Fe: 0.169 0.834 0.125
Mg: 0.840 0.170 0.872
Mg: 0.664 0.829 0.625

symmetry: Amm2 (38)
crystal system: orthorhombic

---

Most favorable structure: (two). The second most favorable one is 6.3 kJ/mol of atoms above it.

---

(one)
Mn5Fe5Si6 | PBE | relaxed

Unit cell a=6.805 b=6.805 c=4.642 alpha=90.00 beta=90.00 gamma=120.78
Element x y z (fractional)
Si: 0.000 0.609 0.500
Si: 0.994 0.397 0.000
Mn: 0.233 0.233 0.000
Mn: 0.333 0.662 0.250
Mn: 0.662 0.333 0.750
Si: 0.615 0.615 0.000
Mn: 0.662 0.333 0.250
Fe: 0.756 0.005 0.000
Mn: 0.333 0.662 0.750
Fe: 0.999 0.249 0.500
Si: 0.391 0.391 0.500
Si: 0.397 0.994 0.000
Si: 0.609 0.000 0.500
Fe: 0.249 0.999 0.500
Fe: 0.761 0.761 0.500
Fe: 0.005 0.756 0.000

symmetry: Amm2 (38)
crystal system: orthorhombic

---

(two)
Mn5Fe5Si6 | PBE | relaxed

Unit cell a=6.779 b=6.779 c=4.695 alpha=90.00 beta=90.00 gamma=118.97
Element x y z (fractional)
Mn: 0.757 0.757 0.500
Mn: 0.999 0.228 0.500
Si: 0.999 0.597 0.500
Si: 0.402 0.402 0.500
Fe: 0.333 0.671 0.750
Mn: 0.228 0.999 0.500
Si: 0.595 0.595 0.000
Fe: 0.333 0.671 0.250
Si: 0.597 0.999 0.500
Si: 0.005 0.399 0.000
Mn: 0.765 0.998 0.000
Fe: 0.671 0.333 0.750
Fe: 0.671 0.333 0.250
Mn: 0.998 0.765 0.000
Si: 0.399 0.005 0.000
Fe: 0.250 0.250 0.000

symmetry: Amm2 (38)
crystal system: orthorhombic

---

Most favorable structure: (two). The second most favorable one is 3.2 kJ/mol of atoms above it.